First-principles (PBE-GGA) data for a relaxed LaMg14B crystal, as listed in Materials Project.

The space group is Amm2 (No. 38) and the conventional cell measures 10.242, 6.032 and 12.000 Å, with angles of 90.00, 90.00 and 90.00 degrees. The inequivalent atoms are La at (0.000, 0.000, 0.000), Mg at (0.000, 0.236, 0.261), Mg at (0.171, 0.000, 0.593), Mg at (0.254, 0.249, 0.380), Mg at (0.264, 0.000, 0.142), Mg at (0.500, 0.000, 0.481), Mg at (0.500, 0.000, 0.975), Mg at (0.500, 0.245, 0.727) and B at (0.000, 0.000, 0.430).

As for the mass density: 2.2 g/cm3. Its spin magnetization is 0.00 μB per formula unit. The distance to the lowest polymorph of the same formula comes out at 0.0 meV per atom. As for the formation energy: 0.126 eV/atom. The value obtained for the raw total energy is -64.00 eV/cell.